No. 1
Density functional theory data (r2SCAN) for an optimized crystal structure of TlF3.

a b c (Å): 4.8001 5.9332 7.0065
angles (deg): 90.00 90.00 90.00
With the nearest neighbours (Å) after each atom.
Fractional positions:
F 0.8424 0.3364 0.9333  3 Tl 2.24-2.42
F 0.3721 0.4663 0.7500  2 Tl 2.15-2.20
F 0.1576 0.6636 0.4333  3 Tl 2.24-2.42
Tl 0.9598 0.6298 0.7500  6 F 2.15-2.29
F 0.6576 0.8364 0.5667  3 Tl 2.24-2.42
F 0.8721 0.0337 0.2500  2 Tl 2.15-2.20
F 0.6279 0.5337 0.2500  2 Tl 2.15-2.20
F 0.3424 0.1636 0.4333  3 Tl 2.24-2.42
F 0.1279 0.9663 0.7500  2 Tl 2.15-2.20
Tl 0.0402 0.3702 0.2500  6 F 2.15-2.29
F 0.3424 0.1636 0.0667  3 Tl 2.24-2.42
F 0.8424 0.3364 0.5667  3 Tl 2.24-2.42
F 0.1576 0.6636 0.0667  3 Tl 2.24-2.42
Tl 0.4598 0.8702 0.2500  6 F 2.15-2.29
F 0.6576 0.8364 0.9333  3 Tl 2.24-2.42
Tl 0.5402 0.1298 0.7500  6 F 2.15-2.29

No. 2
Density functional theory data (r2SCAN) for an optimized crystal structure of ReH3O5.

Output
energy relative to the lowest polymorph listed for this composition	13	meV/atom

a b c (Å): 5.4473 5.6701 7.8571
angles (deg): 110.17 114.12 86.12
With the nearest neighbours (Å) after each atom.
Fractional positions:
Re 0.8767 0.6101 0.7269  4 O 1.73-1.76
O 0.9968 0.3224 0.6278  1 H 1.54
H 0.5469 0.0214 0.3175  1 O 1.01
H 0.2586 0.2033 0.7195  1 O 1.01
O 0.6503 0.6979 0.5331  1 Re 1.73
H 0.5631 0.1878 0.8940  1 O 1.00
O 0.0773 0.6795 0.4057  1 H 1.68, 1 Re 1.74
O 0.3982 0.0922 0.7770  3 H 1.00-1.02
O 0.8478 0.2330 0.0875  1 H 1.62, 1 Re 1.73
O 0.7102 0.5775 0.8645  1 Re 1.73
O 0.2927 0.4873 0.1096  1 H 1.59, 1 Re 1.75
O 0.1450 0.8457 0.8778  1 H 1.51
Re 0.1519 0.4097 0.2500  4 O 1.73-1.75
H 0.3068 0.9844 0.8187  1 O 1.02
H 0.8022 0.8358 0.3314  1 O 1.00
H 0.4948 0.7245 0.1781  1 O 1.01
O 0.6271 0.8788 0.2426  3 H 1.00-1.01
O 0.3587 0.2239 0.3800  1 H 1.57, 1 Re 1.75

No. 3
Density functional theory data (r2SCAN) for an optimized crystal structure of Sr3Ga2Cl2O5.

a b c (Å): 9.5841 9.5772 9.5997
angles (deg): 90.00 90.00 90.00
With the nearest neighbours (Å) after each atom.
Fractional positions:
Ga 0.6428 0.6550 0.8453  4 O 1.82-1.86
Sr 0.6657 0.0240 0.7371  4 O 2.42-2.67
O 0.0286 0.2817 0.4085  2 Ga 1.85-1.88
O 0.2280 0.0909 0.5274  2 Ga 1.84-1.86
O 0.2720 0.9091 0.0274  2 Ga 1.84-1.86
Cl 0.5171 0.9229 0.4350  5 Sr 3.09-3.37, 3 O 3.12-3.32, 1 Ga 3.43
O 0.7720 0.5909 0.9726  2 Ga 1.84-1.86
O 0.7280 0.4091 0.4726  2 Ga 1.84-1.86
Sr 0.9753 0.7492 0.8335  3 O 2.47-2.50
Cl 0.4083 0.5363 0.4514  4 Sr 3.00-3.18, 3 O 3.02-3.30
Sr 0.4753 0.7508 0.1665  3 O 2.47-2.50
O 0.5900 0.5157 0.7203  2 Ga 1.84-1.86
Sr 0.7918 0.3324 0.0058  4 O 2.48-2.76
O 0.7185 0.7393 0.2580  1 Ga 1.82
Ga 0.6600 0.3530 0.6458  4 O 1.82-1.88
Cl 0.0917 0.4637 0.9514  4 Sr 3.00-3.18, 3 O 3.02-3.30
Sr 0.2918 0.1676 0.9942  4 O 2.48-2.76
Cl 0.4829 0.4229 0.0650  5 Sr 3.09-3.37, 3 O 3.12-3.32, 1 Ga 3.43
Sr 0.7082 0.6676 0.5058  4 O 2.48-2.76
Cl 0.0171 0.5771 0.5650  5 Sr 3.09-3.37, 3 O 3.12-3.32, 1 Ga 3.43
O 0.9100 0.4843 0.2203  2 Ga 1.84-1.86
Ga 0.1428 0.8450 0.1547  4 O 1.82-1.86
Ga 0.8572 0.3450 0.3453  4 O 1.82-1.86
Sr 0.3343 0.5240 0.7629  4 O 2.42-2.67
O 0.4100 0.0157 0.7797  2 Ga 1.84-1.86
O 0.7373 0.7813 0.7395  1 Ga 1.82
O 0.0900 0.9843 0.2797  2 Ga 1.84-1.86
Ga 0.3400 0.8530 0.8542  4 O 1.82-1.88
Sr 0.2082 0.8324 0.4942  4 O 2.48-2.76
O 0.5286 0.2183 0.5915  2 Ga 1.85-1.88
O 0.2627 0.2813 0.7605  1 Ga 1.82
Cl 0.9829 0.0771 0.9350  5 Sr 3.09-3.37, 3 O 3.12-3.32, 1 Ga 3.43
Ga 0.8400 0.6470 0.1458  4 O 1.82-1.88
Cl 0.5917 0.0363 0.0486  4 Sr 3.00-3.18, 3 O 3.02-3.30
Sr 0.0247 0.2492 0.6665  3 O 2.47-2.50
O 0.2373 0.7187 0.2605  1 Ga 1.82
Sr 0.1657 0.4760 0.2629  4 O 2.42-2.67
O 0.4714 0.7183 0.9085  2 Ga 1.85-1.88
Ga 0.3572 0.1550 0.6547  4 O 1.82-1.86
O 0.2185 0.7607 0.7420  1 Ga 1.82
O 0.7627 0.2187 0.2395  1 Ga 1.82
O 0.9714 0.7817 0.0915  2 Ga 1.85-1.88
Ga 0.1600 0.1470 0.3542  4 O 1.82-1.88
O 0.2815 0.2393 0.2420  1 Ga 1.82
O 0.7815 0.2607 0.7580  1 Ga 1.82
Cl 0.9083 0.9637 0.5486  4 Sr 3.00-3.18, 3 O 3.02-3.30
Sr 0.8343 0.9760 0.2371  4 O 2.42-2.67
Sr 0.5247 0.2508 0.3335  3 O 2.47-2.50

No. 4
Density functional theory data (r2SCAN) for an optimized crystal structure of YTmZn2.

a b c (Å): 4.9937 4.9937 4.9937
angles (deg): 60.00 60.00 60.00
With the nearest neighbours (Å) after each atom.
Fractional positions:
Tm 0.5000 0.5000 0.5000  8 Zn 3.06
Y 0.0000 0.0000 0.0000  8 Zn 3.06
Zn 0.7500 0.7500 0.7500  4 Y 3.06, 4 Tm 3.06
Zn 0.2500 0.2500 0.2500  4 Tm 3.06, 4 Y 3.06

In eV per atom, the E_form values for the records above are, in order, -1.974; -1.312; -2.660; -0.388.